{"formula": "CdCuF4", "functional": "PBE", "state": "relaxed", "lattice": [[5.487, 3.438, 0.244], [-1.612, 6.225, -0.801], [-2.348, -4.448, 4.086]], "species": ["Cd", "Cd", "Cu", "Cu", "F", "F", "F", "F", "F", "F", "F", "F"], "frac_coords": [[0.250, 0.250, 0.000], [0.750, 0.750, 0.000], [0.500, 0.000, 0.500], [0.000, 0.500, 0.500], [0.947, 0.447, 0.139], [0.692, 0.192, 0.139], [0.053, 0.553, 0.861], [0.553, 0.692, 0.500], [0.308, 0.808, 0.861], [0.808, 0.947, 0.500], [0.447, 0.308, 0.500], [0.192, 0.053, 0.500]], "ef_ev_per_fu": -12.92, "sg": "I4/mcm (140)"}

{"formula": "TaFe4W", "functional": "PBE", "state": "relaxed", "lattice": [[1.854, 1.616, 4.063], [-0.820, -4.645, -0.552], [7.207, -0.922, -2.919]], "species": ["Ta", "Ta", "Fe", "Fe", "Fe", "Fe", "Fe", "Fe", "Fe", "Fe", "W", "W"], "frac_coords": [[0.667, 0.333, 0.572], [0.333, 0.667, 0.428], [0.000, 0.000, 0.500], [0.000, 0.000, 0.000], [0.170, 0.340, 0.752], [0.170, 0.830, 0.752], [0.660, 0.830, 0.752], [0.830, 0.660, 0.248], [0.830, 0.170, 0.248], [0.340, 0.170, 0.248], [0.333, 0.667, 0.059], [0.667, 0.333, 0.941]], "ef_ev_per_fu": -0.66, "sg": "P-3m1 (164)"}

{"formula": "AlHO2", "functional": "PBE", "state": "relaxed", "lattice": [[2.889, 0.000, 0.000], [0.000, 3.718, 0.000], [0.000, 0.000, 12.393]], "species": ["Al", "Al", "Al", "Al", "H", "H", "H", "H", "O", "O", "O", "O", "O", "O", "O", "O"], "frac_coords": [[0.250, 0.751, 0.568], [0.250, 0.749, 0.068], [0.750, 0.249, 0.432], [0.750, 0.251, 0.932], [0.750, 0.576, 0.225], [0.750, 0.924, 0.725], [0.250, 0.424, 0.775], [0.250, 0.076, 0.275], [0.750, 0.751, 0.961], [0.750, 0.749, 0.461], [0.250, 0.249, 0.039], [0.250, 0.251, 0.539], [0.750, 0.759, 0.169], [0.750, 0.741, 0.669], [0.250, 0.241, 0.831], [0.250, 0.259, 0.331]], "ef_ev_per_fu": -10.48, "sg": "Pnma (62)"}

{"formula": "RbBiS2", "functional": "PBE", "state": "relaxed", "lattice": [[-2.325, -2.052, -2.818], [-1.995, 2.121, -3.014], [4.750, -0.681, -6.537]], "species": ["Rb", "Bi", "S", "S"], "frac_coords": [[0.500, 0.500, 0.500], [0.000, 0.000, 0.000], [0.734, 0.734, 0.799], [0.266, 0.266, 0.201]], "ef_ev_per_fu": -4.07, "sg": "R-3m (166)"}

{"formula": "Na3As", "functional": "PBE", "state": "relaxed", "lattice": [[4.243, 1.911, -2.020], [0.602, 0.073, -5.037], [-0.147, 4.407, -2.509]], "species": ["Na", "Na", "Na", "As"], "frac_coords": [[0.750, 0.750, 0.750], [0.500, 0.500, 0.500], [0.250, 0.250, 0.250], [0.000, 0.000, 0.000]], "ef_ev_per_fu": -1.48, "de_polymorph_mev_per_atom": 44.6, "sg": "Fm-3m (225)"}

{"formula": "MnPd3", "functional": "PBE", "state": "relaxed", "lattice": [[-3.934, -2.950, 2.648], [1.109, -1.019, -5.378], [3.113, -3.055, 1.221]], "species": ["Mn", "Mn", "Pd", "Pd", "Pd", "Pd", "Pd", "Pd"], "frac_coords": [[0.667, 0.333, 0.250], [0.333, 0.667, 0.750], [0.664, 0.832, 0.250], [0.168, 0.336, 0.250], [0.168, 0.832, 0.250], [0.832, 0.664, 0.750], [0.336, 0.168, 0.750], [0.832, 0.168, 0.750]], "ef_ev_per_fu": -0.84, "sg": "P6_3/mmc (194)"}

{"formula": "ReCSN2Cl3O2", "functional": "PBE", "state": "relaxed", "lattice": [[-7.545, 1.484, -2.150], [2.145, -4.356, -10.536], [-3.521, -11.844, 4.180]], "species": ["Re", "Re", "Re", "Re", "C", "C", "C", "C", "S", "S", "S", "S", "N", "N", "N", "N", "N", "N", "N", "N", "Cl", "Cl", "Cl", "Cl", "Cl", "Cl", "Cl", "Cl", "Cl", "Cl", "Cl", "Cl", "O", "O", "O", "O", "O", "O", "O", "O"], "frac_coords": [[0.823, 0.666, 0.259], [0.177, 0.334, 0.759], [0.823, 0.834, 0.759], [0.177, 0.166, 0.259], [0.659, 0.435, 0.016], [0.341, 0.565, 0.516], [0.659, 0.065, 0.516], [0.341, 0.935, 0.016], [0.487, 0.515, 0.063], [0.513, 0.485, 0.563], [0.487, 0.985, 0.563], [0.513, 0.015, 0.063], [0.700, 0.465, 0.923], [0.300, 0.535, 0.423], [0.700, 0.035, 0.423], [0.300, 0.965, 0.923], [0.714, 0.360, 0.082], [0.286, 0.640, 0.582], [0.714, 0.140, 0.582], [0.286, 0.860, 0.082], [0.001, 0.780, 0.356], [0.999, 0.220, 0.856], [0.001, 0.720, 0.856], [0.999, 0.280, 0.356], [0.616, 0.774, 0.336], [0.384, 0.226, 0.836], [0.616, 0.726, 0.836], [0.384, 0.274, 0.336], [0.070, 0.586, 0.198], [0.930, 0.414, 0.698], [0.070, 0.914, 0.698], [0.930, 0.086, 0.198], [0.743, 0.536, 0.300], [0.257, 0.464, 0.800], [0.743, 0.964, 0.800], [0.257, 0.036, 0.300], [0.753, 0.697, 0.138], [0.247, 0.303, 0.638], [0.753, 0.803, 0.638], [0.247, 0.197, 0.138]], "ef_ev_per_fu": -0.76, "de_polymorph_mev_per_atom": 287.9, "sg": "Pca2_1 (29)"}

{"formula": "NaZnInS3O12", "functional": "PBE", "state": "relaxed", "lattice": [[-2.011, -7.603, -3.863], [6.647, 0.397, 5.695], [-14.498, -4.938, 17.267]], "species": ["Na", "Na", "Na", "Na", "Na", "Na", "Zn", "Zn", "Zn", "Zn", "Zn", "Zn", "In", "In", "In", "In", "In", "In", "S", "S", "S", "S", "S", "S", "S", "S", "S", "S", "S", "S", "S", "S", "S", "S", "S", "S", "O", "O", "O", "O", "O", "O", "O", "O", "O", "O", "O", "O", "O", "O", "O", "O", "O", "O", "O", "O", "O", "O", "O", "O", "O", "O", "O", "O", "O", "O", "O", "O", "O", "O", "O", "O", "O", "O", "O", "O", "O", "O", "O", "O", "O", "O", "O", "O", "O", "O", "O", "O", "O", "O", "O", "O", "O", "O", "O", "O", "O", "O", "O", "O", "O", "O", "O", "O", "O", "O", "O", "O"], "frac_coords": [[0.000, 0.000, 0.497], [0.000, 0.000, 0.997], [0.667, 0.333, 0.830], [0.667, 0.333, 0.330], [0.333, 0.667, 0.164], [0.333, 0.667, 0.664], [0.000, 0.000, 0.350], [0.000, 0.000, 0.850], [0.667, 0.333, 0.683], [0.667, 0.333, 0.183], [0.333, 0.667, 0.017], [0.333, 0.667, 0.517], [0.000, 0.000, 0.650], [0.000, 0.000, 0.150], [0.667, 0.333, 0.984], [0.667, 0.333, 0.484], [0.333, 0.667, 0.317], [0.333, 0.667, 0.817], [0.297, 0.003, 0.251], [0.706, 0.703, 0.251], [0.997, 0.294, 0.251], [0.297, 0.294, 0.751], [0.997, 0.703, 0.751], [0.706, 0.003, 0.751], [0.964, 0.337, 0.584], [0.373, 0.036, 0.584], [0.663, 0.627, 0.584], [0.964, 0.627, 0.084], [0.663, 0.036, 0.084], [0.373, 0.337, 0.084], [0.630, 0.670, 0.918], [0.039, 0.370, 0.918], [0.330, 0.961, 0.918], [0.630, 0.961, 0.418], [0.330, 0.370, 0.418], [0.039, 0.670, 0.418], [0.212, 0.025, 0.303], [0.813, 0.788, 0.303], [0.975, 0.187, 0.303], [0.212, 0.187, 0.803], [0.975, 0.788, 0.803], [0.813, 0.025, 0.803], [0.780, 0.971, 0.697], [0.191, 0.220, 0.697], [0.029, 0.809, 0.697], [0.780, 0.809, 0.197], [0.029, 0.220, 0.197], [0.191, 0.971, 0.197], [0.879, 0.359, 0.636], [0.479, 0.121, 0.636], [0.641, 0.521, 0.636], [0.879, 0.521, 0.136], [0.641, 0.121, 0.136], [0.479, 0.359, 0.136], [0.447, 0.304, 0.031], [0.858, 0.553, 0.031], [0.696, 0.142, 0.031], [0.447, 0.142, 0.531], [0.696, 0.553, 0.531], [0.858, 0.304, 0.531], [0.546, 0.692, 0.969], [0.146, 0.454, 0.969], [0.308, 0.854, 0.969], [0.546, 0.854, 0.469], [0.308, 0.454, 0.469], [0.146, 0.692, 0.469], [0.114, 0.638, 0.364], [0.524, 0.886, 0.364], [0.362, 0.476, 0.364], [0.114, 0.476, 0.864], [0.362, 0.886, 0.864], [0.524, 0.638, 0.864], [0.021, 0.828, 0.411], [0.806, 0.979, 0.411], [0.172, 0.194, 0.411], [0.021, 0.194, 0.911], [0.172, 0.979, 0.911], [0.806, 0.828, 0.911], [0.981, 0.175, 0.589], [0.194, 0.019, 0.589], [0.825, 0.806, 0.589], [0.981, 0.806, 0.089], [0.825, 0.019, 0.089], [0.194, 0.175, 0.089], [0.688, 0.161, 0.745], [0.473, 0.312, 0.745], [0.839, 0.527, 0.745], [0.688, 0.527, 0.245], [0.839, 0.312, 0.245], [0.473, 0.161, 0.245], [0.648, 0.508, 0.922], [0.860, 0.352, 0.922], [0.492, 0.140, 0.922], [0.648, 0.140, 0.422], [0.492, 0.352, 0.422], [0.860, 0.508, 0.422], [0.355, 0.494, 0.078], [0.140, 0.645, 0.078], [0.506, 0.860, 0.078], [0.355, 0.860, 0.578], [0.506, 0.645, 0.578], [0.140, 0.494, 0.578], [0.315, 0.842, 0.255], [0.527, 0.685, 0.255], [0.158, 0.473, 0.255], [0.315, 0.473, 0.755], [0.158, 0.685, 0.755], [0.527, 0.842, 0.755]], "ef_ev_per_fu": -35.29}

| no. | VASP energy (eV per cell) |
| --- | --- |
| 1 | -47.512 |
| 2 | -118.719 |
| 3 | -104.552 |
| 4 | -16.209 |
| 5 | -10.105 |
| 6 | -51.083 |
| 7 | -227.217 |
| 8 | -625.003 |